The following is a GGA+U calculation of a relaxed Li2V5O10 crystal, from the Materials Project.

Cell: 5.115 7.725 10.423 Å, 104.03 102.83 77.81°
Atoms (fractional coordinates):
O 0.170 0.688 0.741
O 0.266 0.217 0.102
O 0.777 0.514 0.033
O 0.269 0.223 0.587
O 0.204 0.064 0.845
O 0.830 0.312 0.259
V 0.964 0.895 0.346
V 0.500 0.000 0.500
Li 0.534 0.399 0.604
V 0.036 0.105 0.654
Li 0.541 0.406 0.109
Li 0.466 0.601 0.396
O 0.221 0.869 0.530
O 0.780 0.136 0.977
V 0.037 0.111 0.156
V 0.975 0.315 0.930
O 0.217 0.495 0.464
V 0.963 0.889 0.844
O 0.223 0.486 0.967
O 0.182 0.681 0.237
O 0.734 0.783 0.898
O 0.783 0.505 0.536
O 0.779 0.131 0.470
V 0.025 0.685 0.070
V 0.989 0.313 0.436
O 0.796 0.936 0.155
O 0.731 0.777 0.413
O 0.220 0.864 0.024
V 0.500 0.000 0.000
Li 0.459 0.594 0.891
O 0.211 0.064 0.333
V 0.011 0.687 0.564
O 0.789 0.936 0.667
O 0.818 0.319 0.763

Computed properties:
energy of formation from the pure elements = -2.46 eV per atom
E (MP2020) = -8.262 eV/atom
energy relative to the lowest polymorph listed for this composition = 1 meV/atom
space-group type = No. 2